[1]
FeH14SO11 after structural relaxation, computed with GGA+U.

Output
Formation energy from the elements ... -1.3357 eV per atom
Calculated volume ... 249.1 Å³/f.u.

Unit cell a=14.1562 b=6.5618 c=11.1684 alpha=90.00 beta=106.14 gamma=90.00
Last column: nearest neighbours and their distance in Å.
Sites, in units of the cell vectors:
Fe (0.0000, 0.0000, 0.0000)  6 O 2.12-2.16
Fe (0.0000, 0.5000, 0.5000)  6 O 2.12-2.16
Fe (0.5000, 0.0000, 0.5000)  6 O 2.11-2.26
Fe (0.5000, 0.5000, 0.0000)  6 O 2.11-2.26
H (0.0207, 0.1130, 0.6162)  1 O 0.98
H (0.0207, 0.3870, 0.1162)  1 O 0.98
H (0.0907, 0.6256, 0.9675)  1 O 0.99
H (0.0907, 0.8744, 0.4675)  1 O 0.99
H (0.1228, 0.6864, 0.7005)  1 O 0.99
H (0.1228, 0.8136, 0.2005)  1 O 0.99
H (0.1247, 0.0700, 0.8521)  1 O 0.99
H (0.1247, 0.4300, 0.3521)  1 O 0.99
H (0.1483, 0.2449, 0.9594)  1 O 0.99
H (0.1483, 0.2551, 0.4594)  1 O 0.99
H (0.1584, 0.0487, 0.2004)  1 O 0.98
H (0.1584, 0.4513, 0.7004)  1 O 0.98
H (0.2969, 0.5811, 0.9625)  1 O 0.99
H (0.2969, 0.9189, 0.4625)  1 O 0.99
H (0.3149, 0.0861, 0.1391)  1 O 0.99
H (0.3149, 0.4139, 0.6391)  1 O 0.99
H (0.3297, 0.7250, 0.8636)  1 O 0.99
H (0.3297, 0.7750, 0.3636)  1 O 0.99
H (0.3397, 0.6142, 0.5684)  1 O 0.98
H (0.3397, 0.8858, 0.0683)  1 O 0.98
H (0.3743, 0.2234, 0.8686)  1 O 0.98
H (0.3743, 0.2766, 0.3686)  1 O 0.98
H (0.4089, 0.1424, 0.0089)  1 O 1.01
H (0.4089, 0.3576, 0.5089)  1 O 1.01
H (0.4221, 0.5185, 0.1994)  1 O 0.99
H (0.4221, 0.9815, 0.6994)  1 O 0.99
H (0.4640, 0.5280, 0.7423)  1 O 1.00
H (0.4640, 0.9720, 0.2423)  1 O 1.00
H (0.5360, 0.0280, 0.7577)  1 O 1.00
H (0.5360, 0.4720, 0.2577)  1 O 1.00
H (0.5779, 0.0185, 0.3006)  1 O 0.99
H (0.5779, 0.4815, 0.8006)  1 O 0.99
H (0.5911, 0.6424, 0.4911)  1 O 1.01
H (0.5911, 0.8576, 0.9911)  1 O 1.01
H (0.6258, 0.7234, 0.6314)  1 O 0.98
H (0.6258, 0.7766, 0.1314)  1 O 0.98
H (0.6603, 0.1142, 0.9316)  1 O 0.98
H (0.6603, 0.3858, 0.4316)  1 O 0.98
H (0.6703, 0.2250, 0.6364)  1 O 0.99
H (0.6703, 0.2750, 0.1364)  1 O 0.99
H (0.6851, 0.5861, 0.3609)  1 O 0.99
H (0.6851, 0.9139, 0.8609)  1 O 0.99
H (0.7031, 0.0811, 0.5375)  1 O 0.99
H (0.7031, 0.4189, 0.0375)  1 O 0.99
H (0.8416, 0.5487, 0.2996)  1 O 0.98
H (0.8416, 0.9513, 0.7996)  1 O 0.98
H (0.8517, 0.7449, 0.5406)  1 O 0.99
H (0.8517, 0.7551, 0.0406)  1 O 0.99
H (0.8753, 0.5700, 0.6479)  1 O 0.99
H (0.8753, 0.9300, 0.1479)  1 O 0.99
H (0.8772, 0.1864, 0.7995)  1 O 0.99
H (0.8772, 0.3136, 0.2995)  1 O 0.99
H (0.9093, 0.1256, 0.5325)  1 O 0.99
H (0.9093, 0.3744, 0.0325)  1 O 0.99
H (0.9793, 0.6130, 0.8838)  1 O 0.98
H (0.9793, 0.8870, 0.3838)  1 O 0.98
S (0.2271, 0.0309, 0.6751)  4 O 1.49-1.51
S (0.2271, 0.4691, 0.1751)  4 O 1.49-1.51
S (0.7729, 0.5309, 0.8249)  4 O 1.49-1.51
S (0.7729, 0.9691, 0.3249)  4 O 1.49-1.51
O (0.0298, 0.7046, 0.9342)  2 H 0.98-0.99
O (0.0298, 0.7954, 0.4342)  2 H 0.98-0.99
O (0.1015, 0.5437, 0.6806)  2 H 0.98-0.99
O (0.1015, 0.9563, 0.1806)  2 H 0.98-0.99
O (0.1161, 0.1122, 0.9335)  2 H 0.99
O (0.1161, 0.3878, 0.4335)  2 H 0.99
O (0.1374, 0.5337, 0.2117)  1 S 1.50
O (0.1374, 0.9663, 0.7117)  1 S 1.50
O (0.2037, 0.0276, 0.5351)  1 S 1.51
O (0.2037, 0.4724, 0.0351)  1 S 1.51
O (0.2548, 0.2430, 0.7222)  1 S 1.50
O (0.2548, 0.2570, 0.2222)  1 S 1.50
O (0.3096, 0.6117, 0.2282)  1 S 1.49
O (0.3096, 0.8883, 0.7282)  1 S 1.49
O (0.3523, 0.6570, 0.9458)  2 H 0.99
O (0.3523, 0.8430, 0.4458)  2 H 0.99
O (0.3661, 0.0127, 0.1108)  2 H 0.98-0.99
O (0.3661, 0.4873, 0.6108)  2 H 0.98-0.99
O (0.4308, 0.2176, 0.9427)  2 H 0.98-1.01
O (0.4308, 0.2824, 0.4427)  2 H 0.98-1.01
O (0.4803, 0.0423, 0.6807)  2 H 0.99-1.00
O (0.4803, 0.4577, 0.1807)  2 H 0.99-1.00
O (0.5197, 0.5423, 0.8193)  2 H 0.99-1.00
O (0.5197, 0.9577, 0.3193)  2 H 0.99-1.00
O (0.5692, 0.7176, 0.5573)  2 H 0.98-1.01
O (0.5692, 0.7824, 0.0573)  2 H 0.98-1.01
O (0.6339, 0.5127, 0.3892)  2 H 0.98-0.99
O (0.6339, 0.9873, 0.8892)  2 H 0.98-0.99
O (0.6477, 0.1570, 0.5542)  2 H 0.99
O (0.6477, 0.3430, 0.0542)  2 H 0.99
O (0.6904, 0.1117, 0.2718)  1 S 1.49
O (0.6904, 0.3883, 0.7718)  1 S 1.49
O (0.7452, 0.7430, 0.7778)  1 S 1.50
O (0.7452, 0.7570, 0.2778)  1 S 1.50
O (0.7963, 0.5276, 0.9649)  1 S 1.51
O (0.7963, 0.9724, 0.4649)  1 S 1.51
O (0.8626, 0.0337, 0.2883)  1 S 1.50
O (0.8626, 0.4663, 0.7883)  1 S 1.50
O (0.8839, 0.6122, 0.5665)  2 H 0.99
O (0.8839, 0.8878, 0.0665)  2 H 0.99
O (0.8985, 0.0437, 0.8194)  2 H 0.98-0.99
O (0.8985, 0.4563, 0.3194)  2 H 0.98-0.99
O (0.9702, 0.2046, 0.5658)  2 H 0.98-0.99
O (0.9702, 0.2954, 0.0658)  2 H 0.98-0.99

***

[2]
Fe3H28S4O30 after structural relaxation, computed with GGA+U.

Output
Formation energy from the elements ... -1.4759 eV per atom
Calculated volume ... 645.2 Å³/f.u.

Unit cell a=6.4231 b=6.5405 c=15.6611 alpha=85.27 beta=89.73 gamma=79.76
Last column: nearest neighbours and their distance in Å.
Sites, in units of the cell vectors:
Fe (0.0000, 0.0000, 0.0000)  6 O 2.11-2.14
Fe (0.4058, 0.3392, 0.3203)  6 O 1.96-2.09
Fe (0.5942, 0.6608, 0.6797)  6 O 1.96-2.09
H (0.0092, 0.7502, 0.1574)  1 O 0.99
H (0.0349, 0.3767, 0.2414)  1 O 1.01
H (0.1003, 0.1372, 0.2810)  1 O 1.01
H (0.1463, 0.2659, 0.1078)  1 O 0.97
H (0.2005, 0.3406, 0.0110)  1 O 0.99
H (0.2075, 0.2830, 0.4763)  1 O 0.99
H (0.2372, 0.8152, 0.1410)  1 O 0.98
H (0.2469, 0.5154, 0.6179)  1 O 0.99
H (0.2806, 0.0621, 0.4382)  1 O 1.01
H (0.2823, 0.9926, 0.6848)  1 O 1.00
H (0.3071, 0.6930, 0.5507)  1 O 1.00
H (0.3310, 0.7346, 0.9361)  1 O 0.99
H (0.3721, 0.9650, 0.9062)  1 O 0.98
H (0.4647, 0.0428, 0.7447)  1 O 1.00
H (0.5353, 0.9572, 0.2553)  1 O 1.00
H (0.6279, 0.0350, 0.0938)  1 O 0.98
H (0.6690, 0.2654, 0.0639)  1 O 0.99
H (0.6929, 0.3070, 0.4493)  1 O 1.00
H (0.7177, 0.0074, 0.3152)  1 O 1.00
H (0.7194, 0.9379, 0.5618)  1 O 1.01
H (0.7531, 0.4846, 0.3821)  1 O 0.99
H (0.7628, 0.1848, 0.8590)  1 O 0.98
H (0.7925, 0.7170, 0.5237)  1 O 0.99
H (0.7995, 0.6594, 0.9890)  1 O 0.99
H (0.8537, 0.7341, 0.8922)  1 O 0.97
H (0.8997, 0.8628, 0.7190)  1 O 1.01
H (0.9651, 0.6233, 0.7586)  1 O 1.01
H (0.9908, 0.2498, 0.8426)  1 O 0.99
S (0.0916, 0.7614, 0.3865)  4 O 1.48-1.51
S (0.3598, 0.4045, 0.8333)  4 O 1.47-1.52
S (0.6402, 0.5955, 0.1667)  4 O 1.47-1.52
S (0.9084, 0.2386, 0.6135)  4 O 1.48-1.51
O (0.0056, 0.0538, 0.6707)  1 S 1.49, 1 H 1.65
O (0.0726, 0.3494, 0.5758)  1 S 1.48
O (0.0938, 0.8260, 0.1175)  2 H 0.98-0.99
O (0.1186, 0.2538, 0.0476)  2 H 0.97-0.99
O (0.1551, 0.4175, 0.7873)  1 S 1.49
O (0.1579, 0.2587, 0.2523)  2 H 1.01
O (0.2211, 0.8269, 0.4545)  1 S 1.49, 1 H 1.65
O (0.2383, 0.6186, 0.3324)  1 S 1.51
O (0.2997, 0.2121, 0.4327)  2 H 0.99-1.01
O (0.3032, 0.8824, 0.9489)  2 H 0.98-0.99
O (0.3326, 0.4588, 0.9222)  1 S 1.47
O (0.3375, 0.6228, 0.6096)  2 H 0.99-1.00
O (0.4380, 0.9611, 0.6959)  2 H 1.00
O (0.4802, 0.5613, 0.7887)  1 S 1.52
O (0.4863, 0.1897, 0.8292)  1 S 1.50
O (0.5137, 0.8103, 0.1708)  1 S 1.50
O (0.5198, 0.4387, 0.2113)  1 S 1.52
O (0.5620, 0.0389, 0.3041)  2 H 1.00
O (0.6625, 0.3772, 0.3904)  2 H 0.99-1.00
O (0.6674, 0.5412, 0.0778)  1 S 1.47
O (0.6968, 0.1176, 0.0511)  2 H 0.98-0.99
O (0.7003, 0.7879, 0.5673)  2 H 0.99-1.01
O (0.7617, 0.3814, 0.6676)  1 S 1.51
O (0.7789, 0.1731, 0.5455)  1 S 1.49, 1 H 1.65
O (0.8421, 0.7413, 0.7477)  2 H 1.01
O (0.8449, 0.5825, 0.2127)  1 S 1.49
O (0.8814, 0.7462, 0.9524)  2 H 0.97-0.99
O (0.9062, 0.1740, 0.8825)  2 H 0.98-0.99
O (0.9274, 0.6506, 0.4242)  1 S 1.48
O (0.9944, 0.9462, 0.3293)  1 S 1.49, 1 H 1.65

***

[3]
Fe3H4S4O18 after structural relaxation, computed with GGA+U.

Output
Formation energy from the elements ... -1.7134 eV per atom
Calculated volume ... 322.4 Å³/f.u.

Unit cell a=5.1920 b=14.5588 c=9.7738 alpha=90.00 beta=119.20 gamma=90.00
Last column: nearest neighbours and their distance in Å.
Sites, in units of the cell vectors:
Fe (0.0000, 0.0000, 0.0000)  6 O 2.09-2.25
Fe (0.0000, 0.5000, 0.5000)  6 O 2.09-2.25
Fe (0.2775, 0.1530, 0.5261)  6 O 1.99-2.04
Fe (0.2775, 0.3470, 0.0261)  6 O 1.99-2.04
Fe (0.7225, 0.6530, 0.9739)  6 O 1.99-2.04
Fe (0.7225, 0.8470, 0.4739)  6 O 1.99-2.04
H (0.1286, 0.6730, 0.4532)  1 O 0.98
H (0.1286, 0.8270, 0.9532)  1 O 0.98
H (0.3584, 0.6081, 0.4377)  1 O 0.98
H (0.3584, 0.8919, 0.9377)  1 O 0.98
H (0.6416, 0.1081, 0.0623)  1 O 0.98
H (0.6416, 0.3919, 0.5623)  1 O 0.98
H (0.8714, 0.1730, 0.0468)  1 O 0.98
H (0.8714, 0.3270, 0.5468)  1 O 0.98
S (0.0121, 0.6708, 0.7302)  4 O 1.47-1.50
S (0.0121, 0.8292, 0.2302)  4 O 1.47-1.50
S (0.4040, 0.5672, 0.1779)  4 O 1.48
S (0.4040, 0.9328, 0.6779)  4 O 1.48
S (0.5960, 0.0672, 0.3221)  4 O 1.48
S (0.5960, 0.4328, 0.8221)  4 O 1.48
S (0.9879, 0.1708, 0.7698)  4 O 1.47-1.50
S (0.9879, 0.3292, 0.2698)  4 O 1.47-1.50
O (0.0184, 0.0719, 0.8016)  1 S 1.47
O (0.0184, 0.4281, 0.3016)  1 S 1.47
O (0.1000, 0.1972, 0.6599)  1 S 1.50
O (0.1000, 0.3028, 0.1599)  1 S 1.50
O (0.1134, 0.6051, 0.1435)  1 S 1.48
O (0.1134, 0.8949, 0.6435)  1 S 1.48
O (0.1586, 0.2216, 0.9208)  1 S 1.50
O (0.1586, 0.2784, 0.4208)  1 S 1.50
O (0.2317, 0.6140, 0.4861)  2 H 0.98
O (0.2317, 0.8860, 0.9861)  2 H 0.98
O (0.3276, 0.7017, 0.8040)  1 S 1.50
O (0.3276, 0.7983, 0.3040)  1 S 1.50
O (0.3701, 0.0253, 0.6079)  1 S 1.48
O (0.3701, 0.4747, 0.1079)  1 S 1.48
O (0.4161, 0.0626, 0.1492)  1 S 1.48
O (0.4161, 0.4374, 0.6492)  1 S 1.48
O (0.4538, 0.1298, 0.3852)  1 S 1.48
O (0.4538, 0.3702, 0.8852)  1 S 1.48
O (0.5462, 0.6298, 0.1148)  1 S 1.48
O (0.5462, 0.8702, 0.6148)  1 S 1.48
O (0.5839, 0.5626, 0.3508)  1 S 1.48
O (0.5839, 0.9374, 0.8508)  1 S 1.48
O (0.6299, 0.5253, 0.8921)  1 S 1.48
O (0.6299, 0.9747, 0.3921)  1 S 1.48
O (0.6724, 0.2017, 0.6960)  1 S 1.50
O (0.6724, 0.2983, 0.1960)  1 S 1.50
O (0.7683, 0.1140, 0.0139)  2 H 0.98
O (0.7683, 0.3860, 0.5139)  2 H 0.98
O (0.8414, 0.7216, 0.5792)  1 S 1.50
O (0.8414, 0.7784, 0.0792)  1 S 1.50
O (0.8866, 0.1051, 0.3565)  1 S 1.48
O (0.8866, 0.3949, 0.8565)  1 S 1.48
O (0.9000, 0.6972, 0.8401)  1 S 1.50
O (0.9000, 0.8028, 0.3401)  1 S 1.50
O (0.9816, 0.5719, 0.6984)  1 S 1.47
O (0.9816, 0.9281, 0.1984)  1 S 1.47

***

[4]
FeH4SO4 after structural relaxation, computed with GGA+U.

Output
Formation energy from the elements ... -0.9097 eV per atom
Calculated volume ... 147.2 Å³/f.u.

Unit cell a=5.6498 b=13.7336 c=8.8552 alpha=90.00 beta=121.01 gamma=90.00
Last column: nearest neighbours and their distance in Å.
Sites, in units of the cell vectors:
Fe (0.0724, 0.0574, 0.2667)  1 H 1.67
Fe (0.0724, 0.4426, 0.7667)  1 H 1.67
Fe (0.9276, 0.5574, 0.2333)  1 H 1.67
Fe (0.9276, 0.9426, 0.7333)  1 H 1.67
H (0.0543, 0.2020, 0.1688)  1 H 0.76
H (0.0543, 0.2980, 0.6688)  1 H 0.76
H (0.2065, 0.2083, 0.2372)  1 H 0.76
H (0.2065, 0.2917, 0.7372)  1 H 0.76
H (0.2442, 0.5701, 0.4107)  1 H 1.23
H (0.2442, 0.9299, 0.9107)  1 H 1.23
H (0.4123, 0.6041, 0.5560)  1 O 1.06
H (0.4123, 0.8959, 0.0560)  1 O 1.06
H (0.5877, 0.1041, 0.9440)  1 O 1.06
H (0.5877, 0.3959, 0.4440)  1 O 1.06
H (0.7558, 0.0701, 0.0893)  1 H 1.23
H (0.7558, 0.4299, 0.5893)  1 H 1.23
H (0.7935, 0.7083, 0.2628)  1 H 0.76
H (0.7935, 0.7917, 0.7628)  1 H 0.76
H (0.9457, 0.7020, 0.3312)  1 H 0.76
H (0.9457, 0.7980, 0.8312)  1 H 0.76
S (0.4903, 0.6314, 0.8232)  4 O 1.44-1.55
S (0.4903, 0.8686, 0.3232)  4 O 1.44-1.55
S (0.5097, 0.1314, 0.6768)  4 O 1.44-1.55
S (0.5097, 0.3686, 0.1768)  4 O 1.44-1.55
O (0.2417, 0.5682, 0.7577)  1 S 1.49
O (0.2417, 0.9318, 0.2577)  1 S 1.49
O (0.2664, 0.0856, 0.5213)  1 S 1.49
O (0.2664, 0.4144, 0.0213)  1 S 1.49
O (0.4264, 0.1280, 0.8184)  1 H 1.06
O (0.4264, 0.3720, 0.3184)  1 H 1.06
O (0.4411, 0.7300, 0.8552)  1 S 1.44
O (0.4411, 0.7700, 0.3552)  1 S 1.44
O (0.5589, 0.2300, 0.6448)  1 S 1.44
O (0.5589, 0.2700, 0.1448)  1 S 1.44
O (0.5736, 0.6280, 0.6816)  1 H 1.06
O (0.5736, 0.8720, 0.1816)  1 H 1.06
O (0.7336, 0.5856, 0.9787)  1 S 1.49
O (0.7336, 0.9144, 0.4787)  1 S 1.49
O (0.7583, 0.0682, 0.7423)  1 S 1.49
O (0.7583, 0.4318, 0.2423)  1 S 1.49

***

[5]
FeH8SO8 after structural relaxation, computed with GGA+U.

Output
Formation energy from the elements ... -1.4611 eV per atom
Calculated volume ... 166.8 Å³/f.u.

Unit cell a=6.0896 b=13.7466 c=9.9470 alpha=90.00 beta=126.76 gamma=90.00
Last column: nearest neighbours and their distance in Å.
Sites, in units of the cell vectors:
Fe (0.1576, 0.1027, 0.2201)  6 O 2.12-2.17
Fe (0.1576, 0.3973, 0.7201)  6 O 2.12-2.17
Fe (0.8424, 0.6027, 0.2799)  6 O 2.12-2.17
Fe (0.8424, 0.8973, 0.7799)  6 O 2.12-2.17
H (0.0597, 0.7435, 0.7241)  1 O 0.99
H (0.0597, 0.7565, 0.2241)  1 O 0.99
H (0.1203, 0.0762, 0.4824)  1 O 0.98
H (0.1203, 0.4238, 0.9824)  1 O 0.98
H (0.1238, 0.5158, 0.1747)  1 O 0.99
H (0.1238, 0.9842, 0.6747)  1 O 0.99
H (0.1407, 0.1944, 0.7410)  1 O 0.99
H (0.1407, 0.3056, 0.2410)  1 O 0.99
H (0.3251, 0.6761, 0.0447)  1 O 0.98
H (0.3251, 0.8239, 0.5447)  1 O 0.98
H (0.3453, 0.0928, 0.0227)  1 O 0.98
H (0.3453, 0.4072, 0.5227)  1 O 0.98
H (0.3659, 0.5974, 0.9419)  1 O 0.99
H (0.3659, 0.9026, 0.4419)  1 O 0.99
H (0.4344, 0.1946, 0.1175)  1 O 0.98
H (0.4344, 0.3054, 0.6175)  1 O 0.98
H (0.5656, 0.6946, 0.3825)  1 O 0.98
H (0.5656, 0.8054, 0.8825)  1 O 0.98
H (0.6341, 0.0974, 0.5581)  1 O 0.99
H (0.6341, 0.4026, 0.0581)  1 O 0.99
H (0.6547, 0.5928, 0.4773)  1 O 0.98
H (0.6547, 0.9072, 0.9773)  1 O 0.98
H (0.6749, 0.1761, 0.4553)  1 O 0.98
H (0.6749, 0.3239, 0.9553)  1 O 0.98
H (0.8593, 0.6944, 0.7590)  1 O 0.99
H (0.8593, 0.8056, 0.2590)  1 O 0.99
H (0.8762, 0.0158, 0.3253)  1 O 0.99
H (0.8762, 0.4842, 0.8253)  1 O 0.99
H (0.8797, 0.5762, 0.0176)  1 O 0.98
H (0.8797, 0.9238, 0.5176)  1 O 0.98
H (0.9403, 0.2435, 0.7759)  1 O 0.99
H (0.9403, 0.2565, 0.2759)  1 O 0.99
S (0.3785, 0.6103, 0.6790)  4 O 1.48-1.50
S (0.3785, 0.8897, 0.1790)  4 O 1.48-1.50
S (0.6215, 0.1103, 0.8210)  4 O 1.48-1.50
S (0.6215, 0.3897, 0.3210)  4 O 1.48-1.50
O (0.0040, 0.0707, 0.3596)  2 H 0.98-0.99
O (0.0040, 0.4293, 0.8596)  2 H 0.98-0.99
O (0.0306, 0.2472, 0.2210)  2 H 0.99
O (0.0306, 0.2528, 0.7210)  2 H 0.99
O (0.2538, 0.5781, 0.5038)  1 S 1.49
O (0.2538, 0.9219, 0.0038)  1 S 1.49
O (0.2633, 0.5501, 0.7495)  1 S 1.50
O (0.2633, 0.9499, 0.2495)  1 S 1.50
O (0.2980, 0.1424, 0.0721)  2 H 0.98
O (0.2980, 0.3576, 0.5721)  2 H 0.98
O (0.3171, 0.0943, 0.7179)  1 S 1.50
O (0.3171, 0.4057, 0.2179)  1 S 1.50
O (0.3230, 0.7140, 0.6877)  1 S 1.48
O (0.3230, 0.7860, 0.1877)  1 S 1.48
O (0.4399, 0.6224, 0.0555)  2 H 0.98-0.99
O (0.4399, 0.8776, 0.5555)  2 H 0.98-0.99
O (0.5601, 0.1224, 0.4445)  2 H 0.98-0.99
O (0.5601, 0.3776, 0.9445)  2 H 0.98-0.99
O (0.6770, 0.2140, 0.8123)  1 S 1.48
O (0.6770, 0.2860, 0.3123)  1 S 1.48
O (0.6829, 0.5943, 0.7821)  1 S 1.50
O (0.6829, 0.9057, 0.2821)  1 S 1.50
O (0.7020, 0.6424, 0.4279)  2 H 0.98
O (0.7020, 0.8576, 0.9279)  2 H 0.98
O (0.7367, 0.0501, 0.7505)  1 S 1.50
O (0.7367, 0.4499, 0.2505)  1 S 1.50
O (0.7462, 0.0781, 0.9962)  1 S 1.49
O (0.7462, 0.4219, 0.4962)  1 S 1.49
O (0.9694, 0.7472, 0.2790)  2 H 0.99
O (0.9694, 0.7528, 0.7790)  2 H 0.99
O (0.9960, 0.5707, 0.1404)  2 H 0.98-0.99
O (0.9960, 0.9293, 0.6404)  2 H 0.98-0.99

***

Which of these has the lowest calculated volume? FeH4SO4

***

The lowest formation energy from the elements belongs to which entry? Fe3H4S4O18

***

What is the formation energy from the elements in the first record? -1.3357 eV per atom